1.
Entry from the Materials Project: an optimized crystal structure of SrCa7Mn8O21 (GGA+U).

**SG**: P1, No. 1
**Spin magnetization**: 120.000 μB per cell

abc: 11.0151 15.5017 10.9638
angles: 90.15 91.36 90.45
Atoms (fractional coordinates):
1 Sr 0.0033 0.1168 0.5032
2 Sr 0.5070 0.3848 0.9862
3 Sr 0.2380 0.3845 0.2470
4 Sr 0.2306 0.1207 0.2430
5 Ca 0.9997 0.1087 0.0037
6 Ca 0.0088 0.6220 0.5090
7 Ca 0.0166 0.6197 0.9928
8 Ca 0.5416 0.1255 0.4776
9 Ca 0.5443 0.1293 0.9834
10 Ca 0.5301 0.6299 0.5115
11 Ca 0.5332 0.6222 0.9744
12 Ca 0.5020 0.3799 0.5130
13 Ca 0.5154 0.8596 0.9842
14 Ca 0.4923 0.8672 0.5088
15 Ca 0.9673 0.3876 0.0038
16 Ca 0.9588 0.3858 0.4993
17 Ca 0.9578 0.8804 0.0001
18 Ca 0.9684 0.8733 0.5125
19 Ca 0.2330 0.3995 0.7694
20 Ca 0.2283 0.8889 0.2710
21 Ca 0.2189 0.8720 0.7393
22 Ca 0.7623 0.3840 0.2541
23 Ca 0.7405 0.3835 0.7540
24 Ca 0.7626 0.8688 0.2570
25 Ca 0.7394 0.8674 0.7498
26 Ca 0.2269 0.1127 0.7491
27 Ca 0.2384 0.6248 0.2598
28 Ca 0.2680 0.6277 0.7411
29 Ca 0.7787 0.1193 0.2495
30 Ca 0.7840 0.1228 0.7539
31 Ca 0.7817 0.6209 0.2528
32 Ca 0.7725 0.6229 0.7589
33 Mn 0.9919 0.9944 0.2531
34 Mn 0.9934 0.9926 0.7549
35 Mn 0.0033 0.5024 0.2503
36 Mn 0.9968 0.4999 0.7522
37 Mn 0.5075 0.9819 0.2291
38 Mn 0.5084 0.9920 0.7351
39 Mn 0.5100 0.4939 0.2449
40 Mn 0.4953 0.5024 0.7472
41 Mn 0.2416 0.9951 0.0122
42 Mn 0.2438 0.9997 0.5180
43 Mn 0.2535 0.5099 0.0073
44 Mn 0.2383 0.4965 0.5114
45 Mn 0.7423 0.9999 0.9947
46 Mn 0.7442 0.9984 0.4960
47 Mn 0.7529 0.5035 0.0003
48 Mn 0.7441 0.5035 0.5037
49 Mn 0.2654 0.2409 0.9524
50 Mn 0.2688 0.2458 0.4724
51 Mn 0.2600 0.7535 0.9750
52 Mn 0.2487 0.7511 0.4987
53 Mn 0.7592 0.2486 0.0033
54 Mn 0.7516 0.2496 0.5055
55 Mn 0.7546 0.7465 0.0001
56 Mn 0.7529 0.7460 0.5058
57 Mn 0.9881 0.2532 0.2595
58 Mn 0.9971 0.2555 0.7630
59 Mn 0.9974 0.7501 0.2636
60 Mn 0.9968 0.7492 0.7488
61 Mn 0.5227 0.2566 0.2587
62 Mn 0.5168 0.2483 0.7485
63 Mn 0.5204 0.7492 0.2629
64 Mn 0.5029 0.7478 0.7471
65 O 0.0986 0.7706 0.6069
66 O 0.5852 0.2550 0.1001
67 O 0.5850 0.2523 0.5905
68 O 0.5974 0.7557 0.1088
69 O 0.6023 0.7630 0.6027
70 O 0.4032 0.2038 0.3546
71 O 0.4045 0.1906 0.8506
72 O 0.4061 0.6989 0.3623
73 O 0.4102 0.7313 0.8980
74 O 0.8960 0.2433 0.4138
75 O 0.9126 0.2359 0.9222
76 O 0.8933 0.7295 0.4071
77 O 0.8984 0.7320 0.9014
78 O 0.1441 0.2470 0.3364
79 O 0.1703 0.2538 0.7936
80 O 0.1600 0.7497 0.3355
81 O 0.1449 0.7370 0.8476
82 O 0.6558 0.2188 0.3509
83 O 0.6600 0.2282 0.8535
84 O 0.6586 0.7212 0.3543
85 O 0.6494 0.7286 0.8545
86 O 0.3558 0.7659 0.6449
87 O 0.8481 0.2714 0.1539
88 O 0.8533 0.2735 0.6516
89 O 0.8661 0.7703 0.1409
90 O 0.8517 0.7702 0.6475
91 O 0.3623 0.5155 0.1623
92 O 0.3490 0.4945 0.6466
93 O 0.3506 0.0010 0.1620
94 O 0.3489 0.9947 0.6693
95 O 0.8611 0.4871 0.1428
96 O 0.8533 0.4795 0.6438
97 O 0.8450 0.9795 0.1396
98 O 0.8485 0.9799 0.6438
99 O 0.1470 0.0103 0.3701
100 O 0.1488 0.0004 0.8636
101 O 0.1486 0.5099 0.3573
102 O 0.1460 0.5239 0.8592
103 O 0.6282 0.0242 0.3400
104 O 0.6329 0.0321 0.8427
105 O 0.6252 0.5284 0.3653
106 O 0.6409 0.5135 0.8569
107 O 0.3917 0.5178 0.8976
108 O 0.8813 0.0138 0.3866
109 O 0.8864 0.0123 0.8940
110 O 0.8881 0.5166 0.3899
111 O 0.8918 0.5173 0.8951
112 O 0.1099 0.4839 0.1052
113 O 0.0959 0.4739 0.6145
114 O 0.0960 0.9745 0.1186
115 O 0.0977 0.9782 0.6204
116 O 0.6161 0.4940 0.1093
117 O 0.5997 0.4888 0.6093
118 O 0.5866 0.9922 0.0762
119 O 0.5882 0.9946 0.5799
120 O 0.9965 0.3786 0.2796
121 O 0.0059 0.3786 0.7967
122 O 0.9958 0.8720 0.2939
123 O 0.9975 0.8708 0.7914
124 O 0.4790 0.3774 0.2905
125 O 0.4850 0.3708 0.7589
126 O 0.4753 0.8701 0.2919
127 O 0.5182 0.8732 0.7784
128 O 0.4895 0.6267 0.7197
129 O 0.9952 0.1287 0.2171
130 O 0.0023 0.1286 0.7328
131 O 0.0064 0.6284 0.2173
132 O 0.9869 0.6239 0.7163
133 O 0.2237 0.1264 0.0168
134 O 0.2455 0.1279 0.5386
135 O 0.2290 0.6504 0.0519
136 O 0.2302 0.6250 0.5239
137 O 0.7508 0.1241 0.0368
138 O 0.7512 0.1244 0.5385
139 O 0.7477 0.6258 0.0362
140 O 0.7457 0.6253 0.5463
141 O 0.2859 0.3726 0.4832
142 O 0.2776 0.3608 0.9984
143 O 0.2821 0.8809 0.4749
144 O 0.2918 0.8740 0.9926
145 O 0.7368 0.3763 0.4672
146 O 0.7512 0.3752 0.9703
147 O 0.7444 0.8728 0.4656
148 O 0.7407 0.8738 0.9649

---

2.
Entry from the Materials Project: an optimized crystal structure of Sr3Ca5Mn8O24 (GGA+U).

**Energy relative to the lowest polymorph listed for this composition**: 29.1 meV/atom
**SG**: P4/mmm, No. 123
**Spin magnetization**: 24.628 μB per cell

abc: 7.6673 7.6674 7.6673
angles: 90.00 90.00 90.00
Atoms (fractional coordinates):
1 Sr 0.2500 0.2500 0.2500
2 Sr 0.2500 0.2500 0.7500
3 Sr 0.7500 0.2500 0.2500
4 Ca 0.2500 0.7500 0.2500
5 Ca 0.2500 0.7500 0.7500
6 Ca 0.7500 0.2500 0.7500
7 Ca 0.7500 0.7500 0.2500
8 Ca 0.7500 0.7500 0.7500
9 Mn 0.9996 0.9987 0.9996
10 Mn 0.9996 0.9987 0.5004
11 Mn 0.9996 0.5013 0.9996
12 Mn 0.9996 0.5013 0.5004
13 Mn 0.5004 0.9987 0.9996
14 Mn 0.5004 0.9987 0.5004
15 Mn 0.5004 0.5013 0.9996
16 Mn 0.5004 0.5013 0.5004
17 O 0.9998 0.9957 0.2500
18 O 0.9980 0.9977 0.7500
19 O 0.9998 0.5043 0.2500
20 O 0.9980 0.5023 0.7500
21 O 0.5002 0.9957 0.2500
22 O 0.5020 0.9977 0.7500
23 O 0.5002 0.5043 0.2500
24 O 0.5020 0.5023 0.7500
25 O 0.2500 0.9957 0.9998
26 O 0.2500 0.9957 0.5002
27 O 0.2500 0.5043 0.9998
28 O 0.2500 0.5043 0.5002
29 O 0.7500 0.9977 0.9980
30 O 0.7500 0.9977 0.5020
31 O 0.7500 0.5023 0.9980
32 O 0.7500 0.5023 0.5020
33 O 0.9979 0.2500 0.9979
34 O 0.9979 0.2500 0.5021
35 O 0.9999 0.7500 0.9999
36 O 0.9999 0.7500 0.5001
37 O 0.5021 0.2500 0.9979
38 O 0.5021 0.2500 0.5021
39 O 0.5001 0.7500 0.9999
40 O 0.5001 0.7500 0.5001

---

3.
Entry from the Materials Project: an optimized crystal structure of SrCa7Mn8O20 (GGA+U).

**Energy relative to the lowest polymorph listed for this composition**: 0.0 meV/atom
**SG**: P1, No. 1
**Spin magnetization**: 128.000 μB per cell

abc: 11.0573 15.3591 11.1827
angles: 90.02 91.45 90.28
Atoms (fractional coordinates):
1 Sr 0.0064 0.1164 0.5044
2 Sr 0.5141 0.3764 0.9888
3 Sr 0.2405 0.3870 0.2642
4 Sr 0.2299 0.1208 0.2499
5 Ca 0.0024 0.1095 0.0071
6 Ca 0.0034 0.6115 0.5079
7 Ca 0.0008 0.6121 0.0099
8 Ca 0.5412 0.1293 0.4800
9 Ca 0.5450 0.1286 0.9800
10 Ca 0.5431 0.6297 0.4818
11 Ca 0.5441 0.6286 0.9826
12 Ca 0.5168 0.3735 0.4903
13 Ca 0.5166 0.8725 0.9886
14 Ca 0.5181 0.8738 0.4895
15 Ca 0.9614 0.3840 0.0055
16 Ca 0.9579 0.3835 0.5039
17 Ca 0.9581 0.8821 0.0059
18 Ca 0.9593 0.8834 0.5046
19 Ca 0.2324 0.3951 0.7662
20 Ca 0.2319 0.8922 0.2737
21 Ca 0.2319 0.8911 0.7706
22 Ca 0.7605 0.3777 0.2585
23 Ca 0.7569 0.3735 0.7566
24 Ca 0.7559 0.8740 0.2583
25 Ca 0.7524 0.8747 0.7545
26 Ca 0.2285 0.1173 0.7512
27 Ca 0.2278 0.6203 0.2445
28 Ca 0.2249 0.6211 0.7464
29 Ca 0.7768 0.1225 0.2506
30 Ca 0.7834 0.1224 0.7539
31 Ca 0.7815 0.6228 0.2534
32 Ca 0.7809 0.6223 0.7541
33 Mn 0.9917 0.9952 0.2533
34 Mn 0.9946 0.9941 0.7567
35 Mn 0.9964 0.4977 0.2557
36 Mn 0.9934 0.4965 0.7542
37 Mn 0.5059 0.9879 0.2302
38 Mn 0.5069 0.9901 0.7365
39 Mn 0.5087 0.4967 0.2363
40 Mn 0.5023 0.4927 0.7324
41 Mn 0.2428 0.9977 0.0180
42 Mn 0.2486 0.9973 0.5262
43 Mn 0.2419 0.5041 0.0175
44 Mn 0.2431 0.5025 0.5209
45 Mn 0.7448 0.0010 0.9960
46 Mn 0.7439 0.0025 0.4974
47 Mn 0.7488 0.5034 0.9982
48 Mn 0.7438 0.5028 0.4991
49 Mn 0.2683 0.2450 0.9555
50 Mn 0.2715 0.2471 0.4768
51 Mn 0.2703 0.7440 0.9600
52 Mn 0.2728 0.7430 0.4607
53 Mn 0.7592 0.2469 0.0025
54 Mn 0.7531 0.2479 0.5040
55 Mn 0.7571 0.7473 0.0027
56 Mn 0.7566 0.7468 0.5033
57 Mn 0.9898 0.2530 0.2626
58 Mn 0.9967 0.2529 0.7627
59 Mn 0.9950 0.7525 0.2622
60 Mn 0.9935 0.7526 0.7603
61 Mn 0.5165 0.2516 0.2519
62 Mn 0.5135 0.2473 0.7486
63 Mn 0.5137 0.7465 0.2503
64 Mn 0.5135 0.7461 0.7507
65 O 0.5920 0.2506 0.0974
66 O 0.5896 0.2548 0.5941
67 O 0.5886 0.7553 0.0932
68 O 0.5879 0.7551 0.5935
69 O 0.4003 0.2011 0.3581
70 O 0.4021 0.1871 0.8522
71 O 0.3998 0.6823 0.3505
72 O 0.3993 0.6841 0.8529
73 O 0.8938 0.2395 0.4111
74 O 0.9082 0.2332 0.9183
75 O 0.9056 0.7336 0.4184
76 O 0.9061 0.7339 0.9179
77 O 0.1434 0.2488 0.3429
78 O 0.1657 0.2545 0.8007
79 O 0.1621 0.7526 0.3105
80 O 0.1598 0.7528 0.8100
81 O 0.6560 0.2264 0.3570
82 O 0.6592 0.2290 0.8548
83 O 0.6598 0.7272 0.3561
84 O 0.6596 0.7255 0.8564
85 O 0.8570 0.2736 0.1491
86 O 0.8598 0.2713 0.6483
87 O 0.8568 0.7730 0.1497
88 O 0.8557 0.7731 0.6499
89 O 0.3572 0.5143 0.1556
90 O 0.3454 0.5113 0.6666
91 O 0.3499 0.0025 0.1607
92 O 0.3476 0.0022 0.6758
93 O 0.8581 0.4839 0.1450
94 O 0.8470 0.4814 0.6405
95 O 0.8457 0.9800 0.1362
96 O 0.8563 0.9825 0.6457
97 O 0.1542 0.0060 0.3801
98 O 0.1468 0.0073 0.8707
99 O 0.1507 0.5121 0.3696
100 O 0.1509 0.5119 0.8701
101 O 0.6238 0.0266 0.3425
102 O 0.6336 0.0265 0.8451
103 O 0.6331 0.5277 0.3493
104 O 0.6253 0.5214 0.8484
105 O 0.8800 0.0139 0.3874
106 O 0.8861 0.0156 0.8936
107 O 0.8864 0.5162 0.3939
108 O 0.8863 0.5181 0.8914
109 O 0.0988 0.4759 0.1221
110 O 0.0959 0.4715 0.6218
111 O 0.0984 0.9717 0.1237
112 O 0.1000 0.9689 0.6265
113 O 0.6050 0.4993 0.0939
114 O 0.5911 0.4966 0.5850
115 O 0.5926 0.9950 0.0824
116 O 0.5921 0.9963 0.5859
117 O 0.9908 0.3775 0.2950
118 O 0.9907 0.3753 0.7990
119 O 0.9918 0.8744 0.2977
120 O 0.9897 0.8750 0.7999
121 O 0.4812 0.3772 0.2804
122 O 0.4707 0.3723 0.7706
123 O 0.4774 0.8727 0.2856
124 O 0.4851 0.8724 0.7846
125 O 0.9959 0.1274 0.2197
126 O 0.0031 0.1256 0.7283
127 O 0.9998 0.6271 0.2214
128 O 0.9983 0.6278 0.7179
129 O 0.2200 0.1311 0.0302
130 O 0.2392 0.1286 0.5452
131 O 0.2156 0.6338 0.0384
132 O 0.2183 0.6323 0.5398
133 O 0.7527 0.1237 0.0390
134 O 0.7513 0.1258 0.5414
135 O 0.7545 0.6269 0.0415
136 O 0.7507 0.6253 0.5438
137 O 0.3005 0.3793 0.4935
138 O 0.2860 0.3771 0.9882
139 O 0.3014 0.8750 0.4893
140 O 0.2983 0.8761 0.9811
141 O 0.7381 0.3768 0.4664
142 O 0.7481 0.3751 0.9665
143 O 0.7414 0.8748 0.4673
144 O 0.7404 0.8753 0.9622

---

4.
Entry from the Materials Project: an optimized crystal structure of Sr3Ca5Mn8O22 (GGA+U).

**Energy relative to the lowest polymorph listed for this composition**: 20.4 meV/atom
**SG**: P2/m, No. 10
**Spin magnetization**: 28.000 μB per cell

abc: 7.7210 7.7146 7.7255
angles: 90.00 90.00 89.95
Atoms (fractional coordinates):
1 Sr 0.2500 0.2500 0.2500
2 Sr 0.2500 0.2500 0.7500
3 Sr 0.7500 0.2500 0.2500
4 Ca 0.2500 0.7500 0.2500
5 Ca 0.2500 0.7500 0.7500
6 Ca 0.7500 0.2500 0.7500
7 Ca 0.7500 0.7500 0.2500
8 Ca 0.7500 0.7500 0.7500
9 Mn 0.9992 0.9978 0.9907
10 Mn 0.9992 0.9978 0.5093
11 Mn 0.9992 0.5031 0.0060
12 Mn 0.9992 0.5031 0.4940
13 Mn 0.5008 0.9969 0.0060
14 Mn 0.5008 0.9969 0.4940
15 Mn 0.5008 0.5022 0.9907
16 Mn 0.5008 0.5022 0.5093
17 O 0.9964 0.9933 0.7500
18 O 0.9994 0.5034 0.2500
19 O 0.9965 0.5073 0.7500
20 O 0.5006 0.9966 0.2500
21 O 0.5035 0.9927 0.7500
22 O 0.5036 0.5067 0.7500
23 O 0.2449 0.9932 0.0186
24 O 0.2449 0.9932 0.4814
25 O 0.2551 0.5068 0.0186
26 O 0.2551 0.5068 0.4814
27 O 0.7547 0.9942 0.0180
28 O 0.7547 0.9942 0.4820
29 O 0.7453 0.5058 0.0180
30 O 0.7453 0.5058 0.4820
31 O 0.9981 0.2456 0.0129
32 O 0.9981 0.2456 0.4871
33 O 0.9994 0.7554 0.0241
34 O 0.9994 0.7554 0.4759
35 O 0.5019 0.2544 0.0129
36 O 0.5019 0.2544 0.4871
37 O 0.5006 0.7446 0.0241
38 O 0.5006 0.7446 0.4759

---

In eV per atom, the total energy after the MP2020 corrections values for the records above are, in order, -7.728 -7.608 -7.743 -7.663.
In eV per formula unit, the energy of formation values for the records above are, in order, -93.0 -97.2 -90.8 -93.9.
In eV/f.u., the raw total energy values for the records above are, in order, -258.16 -274.48 -251.67 -262.72.